Compound: Cs2Na3TlO4
Source: the Materials Project database
Functional: PBE-GGA
Structure: optimized geometry

Computed properties:
The calculation puts the formation energy at -1.432 eV/atom.

Unit cell a=10.3374 b=6.5060 c=12.7959 alpha=69.34 beta=90.00 gamma=90.00
Sites, in units of the cell vectors:
1 O 0.3224 0.7509 0.1561
2 Na 0.0084 0.6398 0.5684
3 O 0.4022 0.2227 0.6082
4 Na 0.4740 0.0871 0.7940
5 O 0.1906 0.2227 0.3811
6 Cs 0.7289 0.2850 0.6084
7 O 0.1776 0.7509 0.6561
8 Cs 0.5017 0.2785 0.3654
9 O 0.5978 0.7773 0.3918
10 Tl 0.7807 0.9007 0.4366
11 O 0.4412 0.2669 0.1232
12 O 0.9412 0.7331 0.3768
13 Na 0.5084 0.3602 0.9316
14 Cs 0.7711 0.2850 0.1084
15 Na 0.5260 0.9129 0.2060
16 O 0.3094 0.2227 0.8811
17 O 0.0978 0.2227 0.1082
18 Tl 0.7193 0.9007 0.9366
19 Na 0.2441 0.3880 0.6988
20 O 0.9022 0.7773 0.8918
21 Cs 0.0017 0.7215 0.1346
22 Na 0.9740 0.9129 0.7060
23 Cs 0.2711 0.7150 0.3916
24 O 0.6906 0.7773 0.1189
25 O 0.8094 0.7773 0.6189
26 Na 0.2559 0.3880 0.1988
27 Na 0.7559 0.6120 0.3012
28 O 0.5588 0.7331 0.8768
29 O 0.6776 0.2491 0.8439
30 O 0.8224 0.2491 0.3439
31 Na 0.7441 0.6120 0.8012
32 Cs 0.2289 0.7150 0.8916
33 Na 0.0260 0.0871 0.2940
34 O 0.0588 0.2669 0.6232
35 Cs 0.4983 0.7215 0.6346
36 Na 0.9916 0.3602 0.4316
37 Cs 0.9983 0.2785 0.8654
38 Na 0.4916 0.6398 0.0684
39 Tl 0.2807 0.0993 0.0634
40 Tl 0.2193 0.0993 0.5634